Model 1:
Computed, not measured: a relaxed Sb3O7 crystal at the PBE level of DFT.

a = 7.3925 Å, b = 7.3925 Å, c = 7.3925 Å
α = 121.03°, β = 120.72°, γ = 88.49°
Last column: nearest neighbours and their distance in Å.
Fractional coordinates of all 20 atoms:
O 0.6726 0.8997 0.3373  2 Sb 2.01-2.06
O 0.3250 0.5750 0.7500  2 Sb 1.99
O 0.0625 0.3353 0.1627  2 Sb 2.01-2.06
O 0.0625 0.8997 0.7272  2 Sb 2.01-2.06
Sb 0.0000 0.0000 0.0000  6 O 1.96-2.06
Sb 0.0000 0.0000 0.5000  6 O 1.95-2.01
Sb 0.5000 0.0000 0.5000  6 O 1.96-2.06
O 0.9375 0.1003 0.2728  2 Sb 2.01-2.06
O 0.3180 0.0680 0.2500  2 Sb 1.96
Sb 0.5000 0.5000 0.0000  2 O 1.99
O 0.6750 0.4250 0.2500  2 Sb 1.99
Sb 0.0000 0.5000 0.0000  6 O 1.95-2.01
O 0.6726 0.3353 0.7728  2 Sb 2.01-2.06
O 0.3274 0.6647 0.2272  2 Sb 2.01-2.06
O 0.6820 0.9320 0.7500  2 Sb 1.96
O 0.9344 0.6844 0.2500  2 Sb 1.95
O 0.9375 0.6647 0.8373  2 Sb 2.01-2.06
Sb 0.0000 0.5000 0.5000  2 O 1.99
O 0.3274 0.1003 0.6627  2 Sb 2.01-2.06
O 0.0656 0.3156 0.7500  2 Sb 1.95

---

Model 2:
Computed, not measured: a relaxed Sb3O7 crystal at the PBE level of DFT.

a = 7.6127 Å, b = 7.6127 Å, c = 7.6127 Å
α = 128.55°, β = 119.81°, γ = 83.09°
Last column: nearest neighbours and their distance in Å.
Fractional coordinates of all 20 atoms:
O 0.2500 0.0556 0.8056  2 Sb 1.94
O 0.7500 0.9444 0.1944  2 Sb 1.94
O 0.1189 0.3362 0.6721  3 Sb 2.07-2.19
O 0.3358 0.6638 0.7826  3 Sb 2.07-2.19
O 0.6189 0.9468 0.7826  3 Sb 2.07-2.19
Sb 0.2146 0.7146 0.0000  6 O 1.97-2.19
O 0.8358 0.0532 0.6721  3 Sb 2.07-2.19
O 0.6642 0.3362 0.2174  3 Sb 2.07-2.19
O 0.1642 0.9468 0.3279  3 Sb 2.07-2.19
Sb 0.5000 0.0000 0.0000  6 O 1.94-2.07
Sb 0.0000 0.0000 0.5000  6 O 1.94-2.07
O 0.3811 0.0532 0.2174  3 Sb 2.07-2.19
O 0.4260 0.6430 0.2171  2 Sb 1.97
Sb 0.7146 0.7146 0.5000  6 O 1.97-2.19
O 0.5740 0.3570 0.7829  2 Sb 1.97
Sb 0.7854 0.2854 0.0000  6 O 1.97-2.19
O 0.0740 0.2911 0.2171  2 Sb 1.97
O 0.9260 0.7089 0.7829  2 Sb 1.97
O 0.8811 0.6638 0.3279  3 Sb 2.07-2.19
Sb 0.2854 0.2854 0.5000  6 O 1.97-2.19

---

Stability verdict: model 1, ahead by 3.2 kJ/mol of atoms

---

Model 1:
Computed, not measured: a relaxed Sb3O14 crystal at the PBE level of DFT.

a = 14.9815 Å, b = 5.7105 Å, c = 5.7585 Å
α = 73.43°, β = 90.00°, γ = 90.00°
Last column: nearest neighbours and their distance in Å.
Fractional coordinates of all 34 atoms:
O 0.5007 0.2217 0.2153  2 Sb 1.94-2.01
O 0.1752 0.0894 0.4565  1 O 1.37
O 0.2500 0.8872 0.8419  6 O 2.20-2.46
Sb 0.5808 0.5992 0.6367  5 O 1.94-2.09
O 0.9993 0.2217 0.2153  2 Sb 1.94-2.01
O 0.8248 0.9106 0.5435  1 O 1.37
O 0.9924 0.6924 0.3179  3 Sb 2.07-2.15
O 0.1740 0.5464 0.5220  1 Sb 1.98
O 0.8693 0.0286 0.9748  1 Sb 1.97, 2 O 2.13-2.20
O 0.6752 0.9106 0.5435  1 O 1.37
Sb 0.0808 0.4008 0.3633  5 O 1.94-2.09
O 0.2500 0.1508 0.3147  2 O 1.37
Sb 0.0000 0.0000 0.0000  6 O 1.97-2.15
O 0.4993 0.7783 0.7847  2 Sb 1.94-2.01
O 0.8260 0.4536 0.4780  1 Sb 1.98
O 0.3248 0.0894 0.4565  1 O 1.37
Sb 0.9192 0.5992 0.6367  5 O 1.94-2.09
O 0.3693 0.9714 0.0252  1 Sb 1.97, 2 O 2.13-2.20
O 0.3260 0.5464 0.5220  1 Sb 1.98
Sb 0.5000 0.0000 0.0000  6 O 1.97-2.15
O 0.8486 0.4091 0.9181  1 Sb 1.98, 1 O 2.13
O 0.5076 0.6924 0.3179  3 Sb 2.07-2.15
O 0.6307 0.0286 0.9748  1 Sb 1.97, 2 O 2.13-2.20
O 0.1307 0.9714 0.0252  1 Sb 1.97, 2 O 2.13-2.20
Sb 0.4192 0.4008 0.3633  5 O 1.94-2.09
O 0.3486 0.5909 0.0819  1 Sb 1.98, 1 O 2.13
O 0.6514 0.4091 0.9181  1 Sb 1.98, 1 O 2.13
O 0.4924 0.3076 0.6821  3 Sb 2.07-2.15
O 0.7500 0.1128 0.1581  6 O 2.20-2.46
O 0.0007 0.7783 0.7847  2 Sb 1.94-2.01
O 0.1514 0.5909 0.0819  1 Sb 1.98, 1 O 2.13
O 0.0076 0.3076 0.6821  3 Sb 2.07-2.15
O 0.7500 0.8492 0.6853  2 O 1.37
O 0.6740 0.4536 0.4780  1 Sb 1.98

---

Model 2:
Computed, not measured: a relaxed Sb3O14 crystal at the PBE level of DFT.

a = 14.9433 Å, b = 5.8560 Å, c = 5.8639 Å
α = 71.73°, β = 90.00°, γ = 90.00°
Last column: nearest neighbours and their distance in Å.
Fractional coordinates of all 34 atoms:
O 0.7912 0.3610 0.4093  1 O 1.23
O 0.2912 0.6390 0.5907  1 O 1.23
O 0.2500 0.3410 0.1737  2 O 1.40
O 0.1526 0.1471 0.6046  1 Sb 1.89
O 0.8474 0.8529 0.3954  1 Sb 1.89
O 0.7500 0.6590 0.8263  2 O 1.40
O 0.9785 0.3146 0.6751  3 Sb 2.03-2.22
Sb 0.5000 0.0000 0.0000  4 O 1.93-2.04
O 0.3734 0.0697 0.9787  1 Sb 1.93, 1 O 2.13
O 0.6266 0.9303 0.0213  1 Sb 1.93, 1 O 2.13
O 0.0124 0.7797 0.7916  2 Sb 1.92-2.04
O 0.6745 0.5108 0.8754  1 O 1.40
Sb 0.0707 0.3484 0.3870  3 O 1.89-2.03
Sb 0.4293 0.3484 0.3870  3 O 1.89-2.03
O 0.1266 0.0697 0.9787  1 Sb 1.93, 1 O 2.13
O 0.6526 0.8529 0.3954  1 Sb 1.89
Sb 0.9293 0.6516 0.6130  3 O 1.89-2.03
O 0.3255 0.4892 0.1246  1 O 1.40
O 0.5124 0.2203 0.2084  2 Sb 1.92-2.04
O 0.5215 0.3146 0.6751  3 Sb 2.03-2.22
O 0.0215 0.6854 0.3249  3 Sb 2.03-2.22
O 0.7500 0.1319 0.9956  4 O 2.17-2.39
Sb 0.0000 0.0000 0.0000  4 O 1.93-2.04
O 0.8255 0.5108 0.8754  1 O 1.40
O 0.1745 0.4892 0.1246  1 O 1.40
O 0.8734 0.9303 0.0213  1 Sb 1.93, 1 O 2.13
Sb 0.5707 0.6516 0.6130  3 O 1.89-2.03
O 0.2088 0.6390 0.5907  1 O 1.23
O 0.3474 0.1471 0.6046  1 Sb 1.89
O 0.4785 0.6854 0.3249  3 Sb 2.03-2.22
O 0.9876 0.2203 0.2084  2 Sb 1.92-2.04
O 0.2500 0.8681 0.0044  4 O 2.17-2.39
O 0.7088 0.3610 0.4093  1 O 1.23
O 0.4876 0.7797 0.7916  2 Sb 1.92-2.04

---

Stability verdict: model 2, ahead by 15.9 kJ/mol of atoms

---

Model 1:
Computed, not measured: a relaxed Y4Ti13Si2Sb2O28 crystal at the PBE level of DFT.

a = 12.3335 Å, b = 12.3335 Å, c = 9.2651 Å
α = 85.78°, β = 85.78°, γ = 152.38°
Last column: nearest neighbours and their distance in Å.
Fractional coordinates of all 49 atoms:
O 0.8136 0.6965 0.6251  3 Ti 2.07-2.19
O 0.2728 0.5510 0.6519  2 Ti 1.87-2.06
O 0.6998 0.6998 0.3814  1 Si 1.65
O 0.2106 0.9621 0.1163  2 Ti 1.96-2.08, 1 Y 2.19
O 0.5408 0.9905 0.6067  2 Ti 2.13-2.15, 1 Y 2.19, 1 Sb 2.33, 1 O 2.37
Ti 0.7079 0.2921 0.5000  6 O 2.12-2.15
O 0.3035 0.1864 0.3749  3 Ti 2.07-2.19
Ti 0.2527 0.3749 0.1425  4 O 2.05-2.08
O 0.4490 0.7272 0.3481  2 Ti 1.87-2.06
O 0.7272 0.4490 0.3481  2 Ti 1.87-2.06
O 0.8718 0.4526 0.1044  1 Ti 1.92
O 0.1282 0.5474 0.8956  1 Ti 1.92
Si 0.7797 0.7797 0.1944  4 O 1.62-1.65
O 0.0379 0.7894 0.8837  2 Ti 1.96-2.08, 1 Y 2.19
Sb 0.8520 0.1480 0.5000  2 O 2.33
Sb 0.1480 0.8520 0.5000  2 O 2.33
O 0.3825 0.2740 0.8725  1 Si 1.65
Y 0.4546 0.0521 0.1617  5 O 2.19-2.37
Ti 0.6251 0.7473 0.8575  4 O 2.05-2.08
O 0.9621 0.2106 0.1163  2 Ti 1.96-2.08, 1 Y 2.19
Y 0.5454 0.9479 0.8383  5 O 2.19-2.37
Y 0.0521 0.4546 0.1617  5 O 2.19-2.37
Ti 0.0000 0.0000 0.5000  4 O 2.09
O 0.7894 0.0379 0.8837  2 Ti 1.96-2.08, 1 Y 2.19
O 0.3002 0.3002 0.6186  1 Si 1.65
Ti 0.3749 0.2527 0.1425  4 O 2.05-2.08
O 0.2740 0.3825 0.8725  1 Si 1.65
O 0.1864 0.3035 0.3749  3 Ti 2.07-2.19
O 0.9905 0.5408 0.6067  2 Ti 2.13-2.15, 1 Y 2.19, 1 Sb 2.33, 1 O 2.37
O 0.6175 0.7260 0.1275  1 Si 1.65
O 0.4592 0.0095 0.3933  2 Ti 2.13-2.15, 1 Y 2.19, 1 Sb 2.33, 1 O 2.37
O 0.4526 0.8718 0.1044  1 Ti 1.92
Ti 0.8808 0.6115 0.1391  4 O 1.87-1.99
Ti 0.6115 0.8808 0.1391  4 O 1.87-1.99
Ti 0.4262 0.5738 0.5000  6 O 2.06-2.22
Ti 0.5738 0.4262 0.5000  6 O 2.06-2.22
O 0.6965 0.8136 0.6251  3 Ti 2.07-2.19
O 0.7260 0.6175 0.1275  1 Si 1.65
Si 0.2203 0.2203 0.8056  4 O 1.62-1.65
Ti 0.7473 0.6251 0.8575  4 O 2.05-2.08
Y 0.9479 0.5454 0.8383  5 O 2.19-2.37
Ti 0.1192 0.3885 0.8609  4 O 1.87-1.99
Ti 0.3885 0.1192 0.8609  4 O 1.87-1.99
O 0.0095 0.4592 0.3933  2 Ti 2.13-2.15, 1 Y 2.19, 1 Sb 2.33, 1 O 2.37
O 0.9304 0.9304 0.8573  1 Si 1.62
O 0.0696 0.0696 0.1427  1 Si 1.62
Ti 0.2921 0.7079 0.5000  6 O 2.12-2.15
O 0.5474 0.1282 0.8956  1 Ti 1.92
O 0.5510 0.2728 0.6519  2 Ti 1.87-2.06

---

Model 2:
Computed, not measured: a relaxed Y4Ti13Si2Sb2O28 crystal at the PBE level of DFT.

a = 5.5910 Å, b = 9.0395 Å, c = 12.6759 Å
α = 88.35°, β = 78.70°, γ = 74.01°
Last column: nearest neighbours and their distance in Å.
Fractional coordinates of all 49 atoms:
Y 0.5577 0.3038 0.4121  6 O 2.24-2.44
O 0.8779 0.1420 0.4888  1 Ti 1.98
O 0.7773 0.3704 0.2469  2 Ti 1.92-2.03
O 0.7260 0.8708 0.0433  1 Si 1.64
Sb 0.0733 0.0270 0.7220  1 O 2.15
O 0.2760 0.3486 0.1026  1 Si 1.64
Ti 0.3811 0.6332 0.8764  4 O 1.92-2.14
Sb 0.9245 0.9700 0.2781  1 O 2.15
Ti 0.2788 0.9959 0.4168  4 O 1.99-2.19
Ti 0.8206 0.2909 0.8400  2 O 1.93-2.12
O 0.2082 0.9314 0.1326  3 Ti 2.10-2.26, 1 Sb 2.15
O 0.4133 0.3838 0.8959  1 Si 1.69
O 0.0510 0.3876 0.7493  3 Ti 1.93-2.08
Ti 0.9985 0.0036 0.9964  5 O 1.99-2.17
Ti 0.5762 0.6206 0.2736  3 O 1.86-2.03
Si 0.2123 0.3127 0.9867  4 O 1.64-1.69
Ti 0.6235 0.3641 0.1246  4 O 1.92-2.13
O 0.4860 0.8495 0.2955  3 Ti 2.00-2.01
Y 0.9861 0.3202 0.5779  6 O 2.27-2.39
Y 0.0155 0.6773 0.4236  6 O 2.26-2.39
Ti 0.1284 0.3773 0.2623  5 O 1.90-2.08
O 0.3686 0.1403 0.5078  1 Ti 1.99
O 0.1197 0.4127 0.4101  1 Ti 1.90
O 0.5123 0.1468 0.7052  3 Ti 2.00-2.01
O 0.4604 0.5836 0.4168  1 Ti 1.86
O 0.2783 0.8526 0.9008  3 Ti 1.92-2.06
O 0.9054 0.3712 0.9859  1 Si 1.65
O 0.2270 0.6266 0.7544  2 Ti 1.92-2.04
O 0.6331 0.8565 0.4929  1 Ti 1.98
Si 0.7921 0.6864 0.0153  4 O 1.64-1.69
O 0.2803 0.1277 0.9603  1 Si 1.64
O 0.6951 0.8381 0.7128  3 Ti 1.99-2.19
O 0.7279 0.6518 0.8992  1 Si 1.64
Ti 0.5128 0.9989 0.1772  5 O 1.99-2.14
Ti 0.4254 0.3755 0.7276  3 O 1.86-2.03
O 0.1221 0.8558 0.5124  1 Ti 1.99
Ti 0.1826 0.7056 0.1617  2 O 1.93-2.10
O 0.3054 0.1597 0.2875  3 Ti 1.99-2.19
Ti 0.4801 0.9981 0.8242  5 O 2.01-2.14
O 0.7883 0.0643 0.8671  3 Ti 2.12-2.17, 1 Sb 2.15
Y 0.4439 0.6937 0.5892  6 O 2.24-2.44
Ti 0.7210 0.0017 0.5831  4 O 1.98-2.19
O 0.7199 0.1437 0.1018  3 Ti 1.93-2.07
O 0.5411 0.4135 0.5847  1 Ti 1.86
O 0.5905 0.6145 0.1053  1 Si 1.69
O 0.0993 0.6269 0.0161  1 Si 1.65
O 0.9507 0.6100 0.2521  3 Ti 1.93-2.08
O 0.8820 0.5846 0.5914  1 Ti 1.90
Ti 0.8737 0.6213 0.7391  5 O 1.90-2.08

---

Stability verdict: model 2, ahead by 11.4 kJ/mol of atoms

---

Model 1:
Computed, not measured: a relaxed Tm2Sb2O7 crystal at the PBE level of DFT.

a = 7.5324 Å, b = 7.5324 Å, c = 7.5324 Å
α = 119.95°, β = 118.84°, γ = 91.06°
Last column: nearest neighbours and their distance in Å.
Fractional coordinates of all 22 atoms:
O 0.9831 0.0025 0.4856  2 Sb 1.92
O 0.8759 0.3166 0.4224  2 Sb 2.01-2.18
Sb 0.7648 0.5000 0.2648  4 O 2.18-2.28
O 0.1058 0.6834 0.5593  2 Sb 2.01-2.18
Sb 0.7333 0.9932 0.2265  6 O 1.92-2.01
O 0.8647 0.3658 0.9941  3 Tm 2.25-2.44, 1 Sb 2.28
Tm 0.7385 0.5413 0.7798  6 O 2.29-2.44
O 0.8484 0.9146 0.0173  1 Sb 2.00
O 0.1284 0.6295 0.9941  3 Tm 2.25-2.44, 1 Sb 2.28
Tm 0.2385 0.4587 0.1972  6 O 2.29-2.44
O 0.3759 0.9535 0.5593  2 Sb 2.01-2.18
Tm 0.2418 0.5000 0.7418  6 O 2.25-2.33
Tm 0.7418 0.0000 0.7418  6 O 2.25-2.33
O 0.3484 0.3311 0.9338  1 Sb 2.00
O 0.4831 0.9975 0.9806  2 Sb 1.92
Sb 0.2648 0.0000 0.2648  4 O 2.18-2.28
O 0.6058 0.0465 0.4224  2 Sb 2.01-2.18
O 0.6027 0.6689 0.0173  1 Sb 2.00
O 0.3647 0.3705 0.4989  3 Tm 2.25-2.44, 1 Sb 2.28
O 0.1027 0.0854 0.9338  1 Sb 2.00
O 0.6284 0.6342 0.4989  3 Tm 2.25-2.44, 1 Sb 2.28
Sb 0.2333 0.0068 0.7401  6 O 1.92-2.01

---

Model 2:
Computed, not measured: a relaxed Tm2Sb2O7 crystal at the PBE level of DFT.

a = 7.5059 Å, b = 7.5059 Å, c = 18.3205 Å
α = 90.00°, β = 90.00°, γ = 120.00°
Last column: nearest neighbours and their distance in Å.
Fractional coordinates of all 66 atoms:
O 0.3258 0.9927 0.9569  3 Tm 2.25-2.39, 1 Sb 2.27
O 0.8531 0.0226 0.7158  1 Sb 2.08, 1 Tm 2.16
O 0.3331 0.0073 0.7097  3 Tm 2.25-2.39, 1 Sb 2.27
Sb 0.3103 0.0000 0.3333  2 O 2.08
Sb 0.5006 0.8304 0.1682  6 O 1.97-2.04
Sb 0.1696 0.6701 0.5015  6 O 1.97-2.04
O 0.0073 0.3331 0.2903  3 Tm 2.25-2.39, 1 Sb 2.27
Tm 0.8328 0.0000 0.8333  6 O 2.16-2.32
O 0.9812 0.8030 0.8027  1 Sb 2.04
O 0.9774 0.8305 0.0491  1 Sb 2.08, 1 Tm 2.16
O 0.4517 0.7598 0.2735  1 Sb 1.99, 1 Tm 2.16
O 0.6889 0.2004 0.8608  1 Sb 2.02
O 0.0188 0.8218 0.5306  1 Sb 2.04
O 0.8030 0.9812 0.1973  1 Sb 2.04
O 0.0226 0.8531 0.2842  1 Sb 2.08, 1 Tm 2.16
O 0.3081 0.5483 0.9402  1 Sb 1.99, 1 Tm 2.16
O 0.0643 0.4641 0.8023  2 Sb 1.97-1.98
O 0.1037 0.6556 0.3941  1 Sb 2.02, 1 Tm 2.26
Sb 0.6897 0.6897 0.0000  2 O 2.08
O 0.5520 0.8963 0.0608  1 Sb 2.02, 1 Tm 2.26
Tm 0.4955 0.3177 0.6553  6 O 2.16-2.39
Sb 0.6764 0.6764 0.5000  6 O 2.27-2.43
O 0.6002 0.5359 0.8644  2 Sb 1.97-1.98
Sb 0.4994 0.3299 0.1652  6 O 1.97-2.04
O 0.3998 0.9357 0.4689  2 Sb 1.97-1.98
Tm 0.8222 0.5045 0.3219  6 O 2.16-2.39
Tm 0.5045 0.8222 0.6781  6 O 2.16-2.39
O 0.8218 0.0188 0.4694  1 Sb 2.04
O 0.1469 0.1695 0.6176  1 Sb 2.08, 1 Tm 2.16
O 0.7598 0.4517 0.7265  1 Sb 1.99, 1 Tm 2.16
O 0.5483 0.3081 0.0598  1 Sb 1.99, 1 Tm 2.16
Tm 0.0000 0.8404 0.6667  6 O 2.30-2.50
O 0.7996 0.4885 0.1941  1 Sb 2.02
O 0.6919 0.2402 0.3931  1 Sb 1.99, 1 Tm 2.16
Sb 0.6701 0.1696 0.4985  6 O 1.97-2.04
Sb 0.8304 0.5006 0.8318  6 O 1.97-2.04
O 0.2004 0.6889 0.1392  1 Sb 2.02
O 0.6742 0.6669 0.3764  3 Tm 2.25-2.39, 1 Sb 2.27
O 0.4885 0.7996 0.8059  1 Sb 2.02
O 0.9927 0.3258 0.0431  3 Tm 2.25-2.39, 1 Sb 2.27
O 0.8963 0.5520 0.9392  1 Sb 2.02, 1 Tm 2.26
O 0.2402 0.6919 0.6069  1 Sb 1.99, 1 Tm 2.16
Sb 0.0000 0.3103 0.6667  2 O 2.08
Tm 0.1596 0.1596 0.0000  6 O 2.30-2.50
O 0.5115 0.3111 0.5274  1 Sb 2.02
O 0.6556 0.1037 0.6059  1 Sb 2.02, 1 Tm 2.26
Sb 0.3236 0.0000 0.8333  6 O 2.27-2.43
O 0.4480 0.3444 0.2725  1 Sb 2.02, 1 Tm 2.26
Tm 0.8404 0.0000 0.3333  6 O 2.30-2.50
Sb 0.3299 0.4994 0.8348  6 O 1.97-2.04
O 0.3111 0.5115 0.4726  1 Sb 2.02
Tm 0.1778 0.6823 0.0114  6 O 2.16-2.39
O 0.1970 0.1782 0.1360  1 Sb 2.04
O 0.4641 0.0643 0.1977  2 Sb 1.97-1.98
O 0.5359 0.6002 0.1356  2 Sb 1.97-1.98
O 0.6669 0.6742 0.6236  3 Tm 2.25-2.39, 1 Sb 2.27
Tm 0.0000 0.8328 0.1667  6 O 2.16-2.32
O 0.1782 0.1970 0.8640  1 Sb 2.04
O 0.1695 0.1469 0.3824  1 Sb 2.08, 1 Tm 2.16
Tm 0.6823 0.1778 0.9886  6 O 2.16-2.39
O 0.3444 0.4480 0.7275  1 Sb 2.02, 1 Tm 2.26
Sb 0.0000 0.3236 0.1667  6 O 2.27-2.43
O 0.8305 0.9774 0.9509  1 Sb 2.08, 1 Tm 2.16
Tm 0.3177 0.4955 0.3447  6 O 2.16-2.39
Tm 0.1672 0.1672 0.5000  6 O 2.16-2.32
O 0.9357 0.3998 0.5311  2 Sb 1.97-1.98

---

Stability verdict: model 2, ahead by 4.4 kJ/mol of atoms